(1)
Na2Si2O5 | GGA-PBE | relaxed

Lattice parameters (Å, degrees): 8.225 12.119 4.892 90.00 90.00 90.00
Space group Pna2_1 (No. 33)
Inequivalent atoms, fractional coordinates:
Na1 0.064 0.226 0.000 x4
Na2 0.188 0.690 0.024 x4
Si1 0.053 0.933 0.954 x4
Si2 0.108 0.526 0.565 x4
O1 0.026 0.185 0.516 x4
O2 0.027 0.963 0.625 x4
O3 0.055 0.514 0.891 x4
O4 0.164 0.650 0.505 x4
O5 0.249 0.430 0.511 x4

energy of formation	-2.901	eV/atom
maximum piezoelectric response	0.07	C/m2
excess energy over the best structure of this formula in the dataset	0.02	eV/f.u.

---

(2)
NaSi2O7 | GGA-PBE | relaxed

Lattice parameters (Å, degrees): 7.598 18.316 9.638 90.00 90.33 90.00
Space group P2_1/c (No. 14)
Inequivalent atoms, fractional coordinates:
Na1 0.000 0.000 0.000 x2
Na2 0.142 0.029 0.402 x4
Na3 0.500 0.000 0.000 x2
Si1 0.184 0.208 0.308 x4
Si2 0.232 0.705 0.204 x4
Si3 0.281 0.161 0.607 x4
Si4 0.308 0.660 0.898 x4
O1 0.020 0.688 0.213 x4
O2 0.107 0.533 0.260 x4
O3 0.151 0.090 0.608 x4
O4 0.186 0.588 0.892 x4
O5 0.250 0.112 0.112 x4
O6 0.250 0.220 0.733 x4
O7 0.250 0.563 0.437 x4
O8 0.252 0.209 0.465 x4
O9 0.265 0.714 0.766 x4
O10 0.279 0.126 0.248 x4
O11 0.286 0.707 0.041 x4
O12 0.349 0.647 0.297 x4
O13 0.369 0.531 0.247 x4
O14 0.485 0.134 0.615 x4

energy of formation	-1.542	eV/atom
size of the total moment	0.400	μB per atom

---

(3)
Na2Si2O5 | GGA-PBE | relaxed

Lattice parameters (Å, degrees): 6.486 4.962 15.634 90.00 90.00 90.00
Space group Pbcn (No. 60)
Inequivalent atoms, fractional coordinates:
Na1 0.098 0.236 0.060 x8
Si1 0.105 0.296 0.843 x8
O1 0.000 0.239 0.750 x4
O2 0.048 0.239 0.578 x8
O3 0.179 0.384 0.348 x8

energy of formation	-2.904	eV/atom
excess energy over the best structure of this formula in the dataset	0.00	eV/f.u.

---

Please write out number 1 again, unchanged.
Na2Si2O5 | GGA-PBE | relaxed

Lattice parameters (Å, degrees): 8.225 12.119 4.892 90.00 90.00 90.00
Space group Pna2_1 (No. 33)
Inequivalent atoms, fractional coordinates:
Na1 0.064 0.226 0.000 x4
Na2 0.188 0.690 0.024 x4
Si1 0.053 0.933 0.954 x4
Si2 0.108 0.526 0.565 x4
O1 0.026 0.185 0.516 x4
O2 0.027 0.963 0.625 x4
O3 0.055 0.514 0.891 x4
O4 0.164 0.650 0.505 x4
O5 0.249 0.430 0.511 x4

energy of formation	-2.901	eV/atom
maximum piezoelectric response	0.07	C/m2
excess energy over the best structure of this formula in the dataset	0.02	eV/f.u.

---

Which formula does entry 2 have? NaSi2O7

---

The lowest energy of formation belongs to which entry? number 3

---

Look up the energy of formation of the second one. -1.542 eV/atom